A plane-wave DFT calculation with PBE was carried out for a relaxed Ba6Ti2Nb10Si8O51 crystal.

Values from the calculation:
**Relative energy among the computed polymorphs**: 0.000 eV per atom

Structure (POSCAR):
```
Ba6Ti2Nb10Si8O51
1.0
-4.210 7.546 2.845
10.679 -1.540 5.431
6.959 2.064 -9.675
Ba Ti Nb Si O
6 2 10 8 51
direct
0.000 0.947 0.445
0.596 0.551 0.050
0.410 0.753 0.252
0.000 0.450 0.948
0.589 0.046 0.546
0.404 0.252 0.752
0.000 0.478 0.274
0.000 0.774 0.982
0.762 0.883 0.110
0.766 0.627 0.365
0.239 0.250 0.990
0.000 0.007 0.756
0.999 0.254 0.511
0.757 0.389 0.614
0.762 0.131 0.871
0.234 0.744 0.482
0.238 0.002 0.229
0.242 0.510 0.735
0.675 0.274 0.071
0.326 0.436 0.233
0.670 0.766 0.567
0.669 0.065 0.269
0.331 0.931 0.732
0.331 0.231 0.435
0.674 0.569 0.777
0.326 0.731 0.939
0.827 0.404 0.119
0.000 0.970 0.208
0.830 0.787 0.035
0.831 0.533 0.287
0.000 0.705 0.473
0.496 0.298 0.019
0.767 0.748 0.251
0.999 0.354 0.365
0.002 0.136 0.638
0.696 0.950 0.231
0.508 0.765 0.050
0.696 0.729 0.453
0.507 0.548 0.268
0.818 0.897 0.614
0.299 0.385 0.105
0.817 0.112 0.400
0.675 0.172 0.173
0.823 0.028 0.793
0.000 0.470 0.707
0.823 0.293 0.532
0.001 0.205 0.973
0.489 0.010 0.293
0.175 0.491 0.207
0.490 0.789 0.514
0.768 0.248 0.753
0.722 0.499 0.498
0.168 0.873 0.119
0.168 0.617 0.372
0.277 0.136 0.136
0.000 0.863 0.857
0.233 0.864 0.367
0.697 0.452 0.738
0.511 0.269 0.550
0.509 0.046 0.772
0.699 0.235 0.956
0.306 0.103 0.384
0.308 0.882 0.606
0.826 0.617 0.907
0.326 0.334 0.334
0.677 0.670 0.674
0.493 0.517 0.800
0.183 0.204 0.491
0.182 0.988 0.705
0.724 0.997 0.997
0.179 0.382 0.621
0.181 0.117 0.883
0.277 0.638 0.637
0.233 0.362 0.867
0.297 0.601 0.888
0.324 0.831 0.836
0.176 0.705 0.995
```

***

A plane-wave DFT calculation with PBE was carried out for a relaxed Ba6Ti2Nb10Si8O51 crystal.

Values from the calculation:
**Relative energy among the computed polymorphs**: 0.004 eV per atom

Structure (POSCAR):
```
Ba6Ti2Nb10Si8O51
1.0
-7.341 0.396 9.527
8.283 -1.509 8.597
1.216 7.556 4.963
Ba Ti Nb Si O
6 2 10 8 51
direct
0.946 0.946 0.000
0.550 0.550 0.406
0.753 0.753 0.590
0.447 0.447 0.000
0.048 0.048 0.410
0.252 0.252 0.595
0.480 0.771 0.000
0.771 0.480 0.000
0.874 0.619 0.236
0.619 0.874 0.236
0.242 0.500 0.760
0.007 0.255 0.000
0.255 0.007 0.000
0.380 0.122 0.241
0.122 0.380 0.241
0.736 0.992 0.764
0.992 0.736 0.764
0.500 0.242 0.760
0.276 0.568 0.326
0.439 0.731 0.674
0.768 0.065 0.331
0.065 0.768 0.331
0.934 0.231 0.669
0.231 0.934 0.669
0.568 0.276 0.326
0.731 0.439 0.674
0.407 0.617 0.175
0.973 0.705 0.000
0.789 0.534 0.169
0.534 0.789 0.169
0.705 0.973 0.000
0.300 0.514 0.506
0.749 0.749 0.232
0.353 0.860 0.000
0.138 0.138 0.000
0.950 0.732 0.304
0.765 0.551 0.493
0.732 0.950 0.304
0.551 0.765 0.493
0.899 0.113 0.183
0.388 0.602 0.702
0.113 0.899 0.183
0.172 0.670 0.327
0.029 0.295 0.176
0.472 0.205 0.000
0.295 0.029 0.176
0.205 0.472 0.000
0.011 0.792 0.511
0.494 0.705 0.825
0.792 0.011 0.511
0.250 0.250 0.231
0.498 0.998 0.281
0.873 0.617 0.833
0.617 0.873 0.833
0.139 0.638 0.719
0.860 0.353 0.000
0.865 0.865 0.769
0.453 0.239 0.300
0.268 0.049 0.490
0.049 0.268 0.490
0.239 0.453 0.300
0.103 0.885 0.694
0.885 0.103 0.694
0.617 0.407 0.175
0.335 0.833 0.673
0.670 0.172 0.327
0.514 0.300 0.506
0.204 0.990 0.817
0.990 0.204 0.817
0.998 0.498 0.281
0.383 0.117 0.822
0.117 0.383 0.822
0.638 0.139 0.719
0.365 0.365 0.768
0.602 0.388 0.702
0.833 0.335 0.673
0.705 0.494 0.825
```

***

A plane-wave DFT calculation with PBE was carried out for a relaxed Ba2SmNbO6 crystal.

Structure (POSCAR):
```
Ba2SmNbO6
1.0
-8.533 0.522 1.260
-0.949 -8.006 -3.111
0.980 -3.210 7.963
Ba Sm Nb O
8 4 4 24
direct
0.500 0.500 0.500
0.000 0.000 0.000
0.000 0.000 0.500
0.000 0.500 0.000
0.500 0.000 0.000
0.500 0.500 0.000
0.500 0.000 0.500
0.000 0.500 0.500
0.250 0.250 0.250
0.250 0.750 0.750
0.750 0.250 0.750
0.750 0.750 0.250
0.750 0.750 0.750
0.750 0.250 0.250
0.250 0.750 0.250
0.250 0.250 0.750
0.230 0.272 0.517
0.230 0.728 0.483
0.770 0.272 0.483
0.770 0.728 0.517
0.272 0.517 0.230
0.728 0.483 0.230
0.272 0.483 0.770
0.728 0.517 0.770
0.517 0.230 0.272
0.483 0.230 0.728
0.483 0.770 0.272
0.517 0.770 0.728
0.270 0.228 0.983
0.270 0.772 0.017
0.730 0.228 0.017
0.730 0.772 0.983
0.228 0.983 0.270
0.772 0.017 0.270
0.228 0.017 0.730
0.772 0.983 0.730
0.983 0.270 0.228
0.017 0.270 0.772
0.017 0.730 0.228
0.983 0.730 0.772
```

***

no.,ΔH_f (0 K) (eV/f.u.)
1,-252.3
2,-252.0
3,-34.0